{
  "formula": "Hf6Co16Ge7",
  "functional": "meta-GGA r2SCAN",
  "state": "optimized geometry",
  "cell": [[7.473, -2.709, 1.360], [3.642, 1.570, 7.022], [1.232, -5.935, 5.319]],
  "species": ["Hf", "Hf", "Hf", "Hf", "Hf", "Hf", "Co", "Co", "Co", "Co", "Co", "Co", "Co", "Co", "Co", "Co", "Co", "Co", "Co", "Co", "Co", "Co", "Ge", "Ge", "Ge", "Ge", "Ge", "Ge", "Ge"],
  "frac_coords": [[0.204, 0.796, 0.796], [0.796, 0.796, 0.204], [0.796, 0.204, 0.204], [0.204, 0.204, 0.796], [0.796, 0.204, 0.796], [0.204, 0.796, 0.204], [0.621, 0.621, 0.138], [0.170, 0.490, 0.170], [0.862, 0.379, 0.379], [0.510, 0.830, 0.830], [0.490, 0.170, 0.170], [0.830, 0.830, 0.510], [0.170, 0.170, 0.490], [0.138, 0.621, 0.621], [0.170, 0.170, 0.170], [0.379, 0.379, 0.862], [0.621, 0.621, 0.621], [0.379, 0.862, 0.379], [0.379, 0.379, 0.379], [0.830, 0.830, 0.830], [0.621, 0.138, 0.621], [0.830, 0.510, 0.830], [0.500, 0.000, 0.500], [0.500, 0.500, 0.000], [0.500, 0.500, 0.500], [0.000, 0.000, 0.500], [0.000, 0.500, 0.000], [0.000, 0.500, 0.500], [0.500, 0.000, 0.000]],
  "volume_a3_per_cell": 371,
  "final_energy_ev_per_atom": -20.3570,
  "density_g_cm3": 11.29
}